# K2LiCeCl6

A geometry-optimized K2LiCeCl6 structure (PBE, the Materials Project).

a = 7.4952 Å, b = 7.4952 Å, c = 7.4952 Å
α = 60.00°, β = 60.00°, γ = 60.00°
Fractional positions:
K1 0.2500 0.2500 0.2500
K2 0.7500 0.7500 0.7500
Li1 0.0000 0.0000 0.0000
Ce1 0.5000 0.5000 0.5000
Cl1 0.2422 0.2422 0.7578
Cl2 0.2422 0.7578 0.2422
Cl3 0.2422 0.7578 0.7578
Cl4 0.7578 0.2422 0.2422
Cl5 0.7578 0.2422 0.7578
Cl6 0.7578 0.7578 0.2422

Formation energy ... -2391 meV/atom
Raw total energy ... -4.138 eV per atom
SG ... Fm-3m, No. 225
Total magnetic moment ... 1.000 μB per cell

# Te2Ru4C11O11

A geometry-optimized Te2Ru4C11O11 structure (PBE, the Materials Project).

a = 6.9904 Å, b = 16.5101 Å, c = 18.1645 Å
α = 90.00°, β = 90.00°, γ = 90.00°
Fractional positions:
Te1 0.0049 0.2079 0.2355
Te2 0.0049 0.2921 0.7355
Te3 0.4951 0.2079 0.7355
Te4 0.4951 0.2921 0.2355
Te5 0.5049 0.7079 0.7645
Te6 0.5049 0.7921 0.2645
Te7 0.9951 0.7079 0.2645
Te8 0.9951 0.7921 0.7645
Ru1 0.1711 0.1652 0.8111
Ru2 0.1711 0.3348 0.3111
Ru3 0.1734 0.1695 0.6506
Ru4 0.1734 0.3305 0.1506
Ru5 0.3266 0.1695 0.1506
Ru6 0.3266 0.3305 0.6506
Ru7 0.3289 0.1652 0.3111
Ru8 0.3289 0.3348 0.8111
Ru9 0.6711 0.6652 0.1889
Ru10 0.6711 0.8348 0.6889
Ru11 0.6734 0.6695 0.3494
Ru12 0.6734 0.8305 0.8494
Ru13 0.8266 0.6695 0.8494
Ru14 0.8266 0.8305 0.3494
Ru15 0.8289 0.6652 0.6889
Ru16 0.8289 0.8348 0.1889
C1 0.0321 0.6691 0.6199
C2 0.0321 0.8309 0.1199
C3 0.0602 0.6393 0.8934
C4 0.0602 0.8607 0.3934
C5 0.0884 0.0703 0.7589
C6 0.0884 0.4297 0.2589
C7 0.1733 0.1129 0.3823
C8 0.1733 0.3871 0.8823
C9 0.2055 0.0809 0.1048
C10 0.2055 0.4191 0.6048
C11 0.2500 0.2500 0.0679
C12 0.2500 0.2500 0.5679
C13 0.2945 0.0809 0.6048
C14 0.2945 0.4191 0.1048
C15 0.3267 0.1129 0.8823
C16 0.3267 0.3871 0.3823
C17 0.4116 0.0703 0.2589
C18 0.4116 0.4297 0.7589
C19 0.4398 0.6393 0.3934
C20 0.4398 0.8607 0.8934
C21 0.4679 0.6691 0.1199
C22 0.4679 0.8309 0.6199
C23 0.5321 0.1691 0.3801
C24 0.5321 0.3309 0.8801
C25 0.5602 0.1393 0.1066
C26 0.5602 0.3607 0.6066
C27 0.5884 0.5703 0.2411
C28 0.5884 0.9297 0.7411
C29 0.6733 0.6129 0.6177
C30 0.6733 0.8871 0.1177
C31 0.7055 0.5809 0.8952
C32 0.7055 0.9191 0.3952
C33 0.7500 0.7500 0.4321
C34 0.7500 0.7500 0.9321
C35 0.7945 0.5809 0.3952
C36 0.7945 0.9191 0.8952
C37 0.8267 0.6129 0.1177
C38 0.8267 0.8871 0.6177
C39 0.9116 0.5703 0.7411
C40 0.9116 0.9297 0.2411
C41 0.9398 0.1393 0.6066
C42 0.9398 0.3607 0.1066
C43 0.9679 0.1691 0.8801
C44 0.9679 0.3309 0.3801
O1 0.0265 0.0053 0.7488
O2 0.0265 0.4947 0.2488
O3 0.0782 0.0806 0.4256
O4 0.0782 0.4194 0.9256
O5 0.1316 0.0262 0.0765
O6 0.1316 0.4738 0.5765
O7 0.1522 0.6715 0.5759
O8 0.1522 0.8285 0.0759
O9 0.2045 0.6210 0.9206
O10 0.2045 0.8790 0.4206
O11 0.2500 0.2500 0.0027
O12 0.2500 0.2500 0.5027
O13 0.2955 0.6210 0.4206
O14 0.2955 0.8790 0.9206
O15 0.3478 0.6715 0.0759
O16 0.3478 0.8285 0.5759
O17 0.3684 0.0262 0.5765
O18 0.3684 0.4738 0.0765
O19 0.4218 0.0806 0.9256
O20 0.4218 0.4194 0.4256
O21 0.4735 0.0053 0.2488
O22 0.4735 0.4947 0.7488
O23 0.5265 0.5053 0.2512
O24 0.5265 0.9947 0.7512
O25 0.5782 0.5806 0.5744
O26 0.5782 0.9194 0.0744
O27 0.6316 0.5262 0.9235
O28 0.6316 0.9738 0.4235
O29 0.6522 0.1715 0.4241
O30 0.6522 0.3285 0.9241
O31 0.7045 0.1210 0.0794
O32 0.7045 0.3790 0.5794
O33 0.7500 0.7500 0.4973
O34 0.7500 0.7500 0.9973
O35 0.7955 0.1210 0.5794
O36 0.7955 0.3790 0.0794
O37 0.8478 0.1715 0.9241
O38 0.8478 0.3285 0.4241
O39 0.8684 0.5262 0.4235
O40 0.8684 0.9738 0.9235
O41 0.9218 0.5806 0.0744
O42 0.9218 0.9194 0.5744
O43 0.9735 0.5053 0.7512
O44 0.9735 0.9947 0.2512

Formation energy ... -921 meV/atom
Raw total energy ... -7.770 eV per atom
SG ... Pccn, No. 56
Total magnetic moment ... 0.039 μB per cell

# TmRe2

A geometry-optimized TmRe2 structure (PBE, the Materials Project).

a = 5.4047 Å, b = 5.4047 Å, c = 8.7612 Å
α = 90.00°, β = 90.00°, γ = 120.00°
Fractional positions:
Tm1 0.3333 0.6667 0.0629
Tm2 0.3333 0.6667 0.4371
Tm3 0.6667 0.3333 0.5629
Tm4 0.6667 0.3333 0.9371
Re1 0.0000 0.0000 0.0000
Re2 0.0000 0.0000 0.5000
Re3 0.1719 0.3437 0.7500
Re4 0.1719 0.8281 0.7500
Re5 0.3437 0.1719 0.2500
Re6 0.6563 0.8281 0.7500
Re7 0.8281 0.1719 0.2500
Re8 0.8281 0.6563 0.2500

Formation energy ... -293 meV/atom
Raw total energy ... -10.081 eV per atom
SG ... P6_3/mmc, No. 194
Total magnetic moment ... 0.000 μB per cell

# PmTmMg2

A geometry-optimized PmTmMg2 structure (PBE, the Materials Project).

a = 5.3867 Å, b = 5.3867 Å, c = 5.3867 Å
α = 60.00°, β = 60.00°, γ = 60.00°
Fractional positions:
Pm1 0.0000 0.0000 0.0000
Tm1 0.5000 0.5000 0.5000
Mg1 0.2500 0.2500 0.2500
Mg2 0.7500 0.7500 0.7500

Formation energy ... -84 meV/atom
Raw total energy ... -3.191 eV per atom
SG ... Fm-3m, No. 225

# Li2CuP4O12

A geometry-optimized Li2CuP4O12 structure (PBE, the Materials Project).

a = 4.6483 Å, b = 9.3434 Å, c = 9.3516 Å
α = 89.89°, β = 86.95°, γ = 87.59°
Fractional positions:
Li1 0.0000 0.0000 0.0000
Li2 0.9996 0.4918 0.9985
Li3 0.0026 0.4980 0.4979
Li4 0.9972 0.9949 0.4957
Cu1 0.0010 0.2565 0.7296
Cu2 0.0064 0.7254 0.2507
P1 0.4959 0.2420 0.4698
P2 0.4963 0.7517 0.9748
P3 0.4956 0.9735 0.7531
P4 0.4991 0.4670 0.2464
P5 0.5023 0.0212 0.2471
P6 0.5050 0.2429 0.0245
P7 0.5073 0.5243 0.7540
P8 0.5075 0.7515 0.5266
O1 0.2515 0.3219 0.5541
O2 0.2533 0.0555 0.6829
O3 0.2535 0.5497 0.3250
O4 0.2532 0.6790 0.0584
O5 0.2580 0.8231 0.4587
O6 0.2595 0.4540 0.8277
O7 0.2618 0.9522 0.1782
O8 0.2626 0.1741 0.9578
O9 0.3369 0.8617 0.8650
O10 0.3427 0.1357 0.3643
O11 0.3503 0.3619 0.1380
O12 0.3715 0.6316 0.6354
O13 0.6429 0.3592 0.3622
O14 0.6510 0.6321 0.8635
O15 0.6508 0.8611 0.6343
O16 0.6614 0.1318 0.1345
O17 0.7371 0.0413 0.8218
O18 0.7382 0.8203 0.0425
O19 0.7400 0.1682 0.5408
O20 0.7419 0.9434 0.3200
O21 0.7446 0.5402 0.1721
O22 0.7465 0.3160 0.9434
O23 0.7560 0.4404 0.6773
O24 0.7564 0.6758 0.4415

Formation energy ... -2392 meV/atom
Energy relative to the lowest polymorph listed for this composition ... 75 meV per atom
Raw total energy ... -6.639 eV per atom
SG ... P1, No. 1
Total magnetic moment ... 2.001 μB per cell

# Ag3BiBr6

A geometry-optimized Ag3BiBr6 structure (PBE, the Materials Project).

a = 7.9052 Å, b = 7.9052 Å, c = 7.9052 Å
α = 60.00°, β = 60.00°, γ = 60.00°
Fractional positions:
Ag1 0.0000 0.0000 0.0000
Ag2 0.2500 0.2500 0.2500
Ag3 0.7500 0.7500 0.7500
Bi1 0.5000 0.5000 0.5000
Br1 0.2464 0.2464 0.7536
Br2 0.2464 0.7536 0.2464
Br3 0.2464 0.7536 0.7536
Br4 0.7536 0.2464 0.2464
Br5 0.7536 0.2464 0.7536
Br6 0.7536 0.7536 0.2464

Formation energy ... -495 meV/atom
Raw total energy ... -2.396 eV per atom
SG ... Fm-3m, No. 225
Total magnetic moment ... 0.004 μB per cell

# BaCu6As2

A geometry-optimized BaCu6As2 structure (PBE, the Materials Project).

a = 4.2095 Å, b = 4.2095 Å, c = 8.7187 Å
α = 90.00°, β = 90.00°, γ = 90.00°
Fractional positions:
Ba1 0.0000 0.0000 0.0000
Cu1 0.0000 0.0000 0.5000
Cu2 0.0000 0.5000 0.3365
Cu3 0.0000 0.5000 0.6635
Cu4 0.5000 0.0000 0.3365
Cu5 0.5000 0.0000 0.6635
Cu6 0.5000 0.5000 0.5000
As1 0.5000 0.5000 0.1956
As2 0.5000 0.5000 0.8044

Formation energy ... -273 meV/atom
Raw total energy ... -4.254 eV per atom
SG ... P4/mmm, No. 123

# YHSO5

A geometry-optimized YHSO5 structure (PBE, the Materials Project).

a = 8.0503 Å, b = 11.1269 Å, c = 11.1370 Å
α = 90.00°, β = 132.35°, γ = 90.00°
Fractional positions:
Y1 0.2102 0.0642 0.3727
Y2 0.2102 0.4358 0.8727
Y3 0.2802 0.5763 0.5919
Y4 0.2802 0.9237 0.0919
Y5 0.7198 0.0763 0.9081
Y6 0.7198 0.4237 0.4081
Y7 0.7898 0.5642 0.1273
Y8 0.7898 0.9358 0.6273
H1 0.0459 0.1114 0.8769
H2 0.0459 0.3886 0.3769
H3 0.4576 0.5862 0.1404
H4 0.4576 0.9138 0.6404
H5 0.5424 0.0862 0.3596
H6 0.5424 0.4138 0.8596
H7 0.9541 0.6114 0.6231
H8 0.9541 0.8886 0.1231
S1 0.1332 0.1700 0.6352
S2 0.1332 0.3300 0.1352
S3 0.4107 0.6910 0.3667
S4 0.4107 0.8090 0.8667
S5 0.5893 0.1910 0.1333
S6 0.5893 0.3090 0.6333
S7 0.8668 0.6700 0.8648
S8 0.8668 0.8300 0.3648
O1 0.0299 0.5394 0.6298
O2 0.0299 0.9606 0.1298
O3 0.0477 0.5955 0.8992
O4 0.0477 0.9045 0.3992
O5 0.0974 0.2014 0.1566
O6 0.0974 0.2986 0.6566
O7 0.1216 0.1692 0.4968
O8 0.1216 0.3308 0.9968
O9 0.2323 0.6286 0.3519
O10 0.2323 0.8714 0.8519
O11 0.3177 0.7390 0.2070
O12 0.3177 0.7610 0.7070
O13 0.3537 0.1257 0.7826
O14 0.3537 0.3743 0.2826
O15 0.4079 0.1044 0.0742
O16 0.4079 0.3956 0.5742
O17 0.4832 0.0089 0.3590
O18 0.4832 0.4911 0.8590
O19 0.4981 0.7081 0.9825
O20 0.4981 0.7919 0.4825
O21 0.5019 0.2081 0.5175
O22 0.5019 0.2919 0.0175
O23 0.5168 0.5089 0.1410
O24 0.5168 0.9911 0.6410
O25 0.5921 0.6044 0.4258
O26 0.5921 0.8956 0.9258
O27 0.6463 0.6257 0.7174
O28 0.6463 0.8743 0.2174
O29 0.6823 0.2390 0.2930
O30 0.6823 0.2610 0.7930
O31 0.7677 0.1286 0.1481
O32 0.7677 0.3714 0.6481
O33 0.8784 0.6692 0.0032
O34 0.8784 0.8308 0.5032
O35 0.9026 0.7014 0.3434
O36 0.9026 0.7986 0.8434
O37 0.9523 0.0955 0.6008
O38 0.9523 0.4045 0.1008
O39 0.9701 0.0394 0.8702
O40 0.9701 0.4606 0.3702

Formation energy ... -2532 meV/atom
Raw total energy ... -6.944 eV per atom
SG ... P2_1/c, No. 14
Total magnetic moment ... 0.000 μB per cell

# La3Si4Pd4

A geometry-optimized La3Si4Pd4 structure (PBE, the Materials Project).

a = 12.7633 Å, b = 12.7633 Å, c = 12.7633 Å
α = 160.86°, β = 160.58°, γ = 27.40°
Fractional positions:
La1 0.0000 0.0000 0.0000
La2 0.3516 0.8516 0.5000
La3 0.6484 0.1484 0.5000
Si1 0.1989 0.6989 0.5000
Si2 0.4509 0.4509 0.0000
Si3 0.5491 0.5491 0.0000
Si4 0.8011 0.3011 0.5000
Pd1 0.0970 0.5970 0.5000
Pd2 0.2475 0.2475 0.0000
Pd3 0.7525 0.7525 0.0000
Pd4 0.9030 0.4030 0.5000

Formation energy ... -937 meV/atom
Raw total energy ... -6.140 eV per atom
SG ... Immm, No. 71
Total magnetic moment ... 0.003 μB per cell

# NaNb6O15F

A geometry-optimized NaNb6O15F structure (PBE, the Materials Project).

a = 3.9525 Å, b = 9.1435 Å, c = 9.1435 Å
α = 70.16°, β = 90.00°, γ = 90.00°
Fractional positions:
Na1 0.0000 0.0000 0.0000
Nb1 0.5000 0.0268 0.6676
Nb2 0.5000 0.1867 0.1867
Nb3 0.5000 0.4051 0.4051
Nb4 0.5000 0.4098 0.7766
Nb5 0.5000 0.6676 0.0268
Nb6 0.5000 0.7766 0.4098
O1 0.0000 0.0401 0.6882
O2 0.0000 0.1821 0.1821
O3 0.0000 0.4137 0.7652
O4 0.0000 0.6882 0.0401
O5 0.0000 0.7652 0.4137
O6 0.5000 0.1768 0.4143
O7 0.5000 0.2242 0.9583
O8 0.5000 0.2612 0.6354
O9 0.5000 0.4143 0.1768
O10 0.5000 0.5412 0.5412
O11 0.5000 0.5702 0.8726
O12 0.5000 0.6354 0.2612
O13 0.5000 0.8726 0.5702
O14 0.5000 0.8911 0.8911
O15 0.5000 0.9583 0.2242
F1 0.0000 0.4044 0.4044

Formation energy ... -2974 meV/atom
Raw total energy ... -8.508 eV per atom
SG ... Amm2, No. 38
Total magnetic moment ... 0.002 μB per cell
Largest piezoelectric modulus ... 2.09 C/m2

# Ce2Ga3Cu

A geometry-optimized Ce2Ga3Cu structure (PBE, the Materials Project).

a = 4.4606 Å, b = 4.4606 Å, c = 7.3548 Å
α = 90.00°, β = 90.00°, γ = 120.00°
Fractional positions:
Ce1 0.0000 0.0000 0.0000
Ce2 0.0000 0.0000 0.4726
Ga1 0.3333 0.6667 0.2255
Ga2 0.3333 0.6667 0.7699
Ga3 0.6667 0.3333 0.7006
Cu1 0.6667 0.3333 0.2674

Formation energy ... -488 meV/atom
Raw total energy ... -4.663 eV per atom
SG ... P3m1, No. 156

# Ge2SeS

A geometry-optimized Ge2SeS structure (PBE, the Materials Project).

a = 3.7857 Å, b = 4.4839 Å, c = 10.9155 Å
α = 90.00°, β = 90.00°, γ = 90.00°
Fractional positions:
Ge1 0.0000 0.1087 0.0000
Ge2 0.0000 0.8913 0.5000
Ge3 0.5000 0.3543 0.2496
Ge4 0.5000 0.6457 0.7496
Se1 0.0000 0.2572 0.7684
Se2 0.0000 0.7428 0.2684
S1 0.5000 0.2411 0.4683
S2 0.5000 0.7589 0.9683

Formation energy ... -353 meV/atom
Raw total energy ... -4.447 eV per atom
SG ... Pmc2_1, No. 26